Record 1
Below is a relaxed CsFeP2H3CO10 crystal, with properties calculated at the PBE with a Hubbard U level.

abc: 8.145 10.415 11.678
angles: 90.00 100.28 90.00
Element x y z (fractional)
Cs1 0.053 0.827 0.663
Cs2 0.553 0.673 0.163
Cs3 0.947 0.173 0.337
Cs4 0.447 0.327 0.837
Fe1 0.044 0.235 0.999
Fe2 0.544 0.265 0.499
Fe3 0.956 0.765 0.001
Fe4 0.456 0.735 0.501
P1 0.853 0.200 0.720
P2 0.353 0.300 0.220
P3 0.147 0.800 0.280
P4 0.647 0.700 0.780
P5 0.250 0.977 0.957
P6 0.750 0.523 0.457
P7 0.750 0.023 0.043
P8 0.250 0.477 0.543
H1 0.774 0.026 0.791
H2 0.274 0.474 0.291
H3 0.226 0.974 0.209
H4 0.726 0.526 0.709
H5 0.048 0.297 0.639
H6 0.548 0.203 0.139
H7 0.952 0.703 0.361
H8 0.452 0.797 0.861
H9 0.457 0.997 0.107
H10 0.957 0.503 0.607
H11 0.543 0.003 0.893
H12 0.043 0.497 0.393
C1 0.923 0.491 0.029
C2 0.423 0.009 0.529
C3 0.077 0.509 0.971
C4 0.577 0.991 0.471
O1 0.901 0.255 0.842
O2 0.401 0.245 0.342
O3 0.099 0.745 0.158
O4 0.599 0.755 0.658
O5 0.691 0.262 0.657
O6 0.191 0.238 0.157
O7 0.309 0.738 0.343
O8 0.809 0.762 0.843
O9 0.831 0.048 0.726
O10 0.331 0.452 0.226
O11 0.169 0.952 0.274
O12 0.669 0.548 0.774
O13 0.997 0.209 0.646
O14 0.497 0.291 0.146
O15 0.003 0.791 0.354
O16 0.503 0.709 0.854
O17 0.094 0.893 0.939
O18 0.594 0.607 0.439
O19 0.906 0.107 0.061
O20 0.406 0.393 0.561
O21 0.207 0.121 0.940
O22 0.707 0.379 0.440
O23 0.793 0.879 0.060
O24 0.293 0.621 0.560
O25 0.372 0.937 0.876
O26 0.872 0.563 0.376
O27 0.628 0.063 0.124
O28 0.128 0.437 0.624
O29 0.340 0.954 0.090
O30 0.840 0.546 0.590
O31 0.660 0.046 0.910
O32 0.160 0.454 0.410
O33 0.889 0.378 0.056
O34 0.389 0.122 0.556
O35 0.111 0.622 0.944
O36 0.611 0.878 0.444
O37 0.157 0.407 0.955
O38 0.657 0.093 0.455
O39 0.843 0.593 0.045
O40 0.343 0.907 0.545

Computed properties:
SG ... No. 14
Energy ... -6.526 eV/atom
Formation enthalpy at 0 K ... -2.084 eV per atom

---

Record 2
Below is a relaxed CsVH12C4O14 crystal, with properties calculated at the PBE with a Hubbard U level.

abc: 5.978 5.980 10.338
angles: 81.31 81.35 78.11
Element x y z (fractional)
Cs1 0.995 0.006 0.000
V1 0.500 0.498 0.501
H1 0.707 0.703 0.649
H2 0.295 0.288 0.351
H3 0.793 0.789 0.484
H4 0.207 0.203 0.514
H5 0.838 0.625 0.835
H6 0.625 0.837 0.833
H7 0.165 0.378 0.164
H8 0.377 0.165 0.162
H9 0.095 0.887 0.349
H10 0.882 0.097 0.348
H11 0.901 0.114 0.653
H12 0.113 0.902 0.656
C1 0.737 0.530 0.239
C2 0.528 0.734 0.239
C3 0.262 0.466 0.764
C4 0.470 0.261 0.764
O1 0.694 0.697 0.551
O2 0.305 0.297 0.449
O3 0.747 0.396 0.350
O4 0.395 0.744 0.350
O5 0.250 0.598 0.653
O6 0.604 0.254 0.654
O7 0.877 0.504 0.138
O8 0.503 0.874 0.138
O9 0.124 0.493 0.866
O10 0.496 0.120 0.865
O11 0.688 0.686 0.800
O12 0.317 0.316 0.196
O13 0.926 0.928 0.350
O14 0.070 0.071 0.652

Computed properties:
E above lowest polymorph ... 4 meV/atom
SG ... No. 1
Energy ... -6.069 eV/atom
Formation enthalpy at 0 K ... -1.520 eV per atom

---

> The highest energy belongs to which entry?

CsVH12C4O14